No. 1
MgV4O8: optimized geometry, PBE with a Hubbard U.

a = 3.069 Å, b = 10.633 Å, c = 5.049 Å
α = 90.00°, β = 107.50°, γ = 90.00°
Space group Pm (No. 6)
Symmetry-distinct sites (fractional):
Mg 0.000 0.000 0.000 x1
V 0.126 0.339 0.252 x2
V 0.391 0.210 0.778 x2
O 0.028 0.176 0.054 x2
O 0.186 0.500 0.377 x1
O 0.379 0.000 0.755 x1
O 0.504 0.364 0.005 x2
O 0.752 0.266 0.506 x2

Properties
energy relative to the elements: -2.378 eV per atom
total energy: -96.14 eV per cell
total magnetization: 2.0 μB per formula unit
corrected total energy (MP2020 scheme): -108.43 eV per cell

***

No. 2
Li2FePCO7: optimized geometry, PBE with a Hubbard U.

a = 5.080 Å, b = 10.033 Å, c = 11.168 Å
α = 73.91°, β = 88.43°, γ = 83.65°
Space group P1 (No. 1)
Symmetry-distinct sites (fractional):
Li 0.000 0.000 0.000 x1
Li 0.012 0.793 0.475 x1
Li 0.483 0.233 0.200 x1
Li 0.505 0.725 0.703 x1
Li 0.596 0.445 0.959 x1
Li 0.841 0.215 0.743 x1
Li 0.869 0.727 0.194 x1
Li 0.965 0.425 0.508 x1
Fe 0.032 0.115 0.407 x1
Fe 0.038 0.620 0.908 x1
Fe 0.413 0.031 0.805 x1
Fe 0.418 0.533 0.310 x1
P 0.499 0.236 0.521 x1
P 0.500 0.737 0.024 x1
P 0.948 0.915 0.694 x1
P 0.949 0.415 0.190 x1
C 0.469 0.178 0.952 x1
C 0.546 0.664 0.462 x1
C 0.914 0.990 0.253 x1
C 0.964 0.480 0.759 x1
O 0.050 0.033 0.740 x1
O 0.067 0.533 0.232 x1
O 0.115 0.275 0.250 x1
O 0.119 0.774 0.752 x1
O 0.131 0.960 0.321 x1
O 0.195 0.488 0.801 x1
O 0.237 0.155 0.920 x1
O 0.299 0.663 0.434 x1
O 0.339 0.878 0.962 x1
O 0.341 0.381 0.465 x1
O 0.378 0.126 0.474 x1
O 0.392 0.620 0.979 x1
O 0.481 0.704 0.168 x1
O 0.491 0.199 0.666 x1
O 0.506 0.256 0.021 x1
O 0.628 0.728 0.533 x1
O 0.654 0.407 0.233 x1
O 0.654 0.900 0.736 x1
O 0.670 0.113 0.904 x1
O 0.716 0.591 0.405 x1
O 0.746 0.085 0.279 x1
O 0.766 0.555 0.802 x1
O 0.797 0.245 0.484 x1
O 0.800 0.742 0.991 x1
O 0.877 0.927 0.170 x1
O 0.918 0.408 0.687 x1
O 0.949 0.450 0.046 x1
O 0.969 0.946 0.552 x1

Properties
energy relative to the elements: -2.290 eV per atom
total energy: -327.90 eV per cell
total magnetization: 5.0 μB per formula unit
corrected total energy (MP2020 scheme): -356.16 eV per cell

***

No. 3
ZnFeSiO5: optimized geometry, PBE with a Hubbard U.

a = 5.467 Å, b = 5.488 Å, c = 7.141 Å
α = 108.70°, β = 108.54°, γ = 95.64°
Space group P1 (No. 1)
Symmetry-distinct sites (fractional):
Zn 0.000 0.000 0.000 x1
Zn 0.326 0.583 0.490 x1
Fe 0.665 0.296 0.756 x1
Fe 0.667 0.295 0.256 x1
Si 0.032 0.959 0.511 x1
Si 0.303 0.635 0.002 x1
O 0.357 0.983 0.604 x1
O 0.375 0.963 0.112 x1
O 0.387 0.495 0.178 x1
O 0.419 0.530 0.812 x1
O 0.591 0.376 0.507 x1
O 0.742 0.215 0.005 x1
O 0.916 0.060 0.702 x1
O 0.950 0.105 0.340 x1
O 0.956 0.631 0.396 x1
O 0.977 0.606 0.907 x1

Properties
energy relative to the elements: -2.092 eV per atom
total energy: -101.88 eV per cell
total magnetization: 4.0 μB per formula unit
corrected total energy (MP2020 scheme): -113.26 eV per cell

***

No. 4
Sr2EuWO6: optimized geometry, PBE with a Hubbard U.

a = 5.880 Å, b = 6.072 Å, c = 10.244 Å
α = 90.00°, β = 124.57°, γ = 90.00°
Space group P2_1/c (No. 14)
Symmetry-distinct sites (fractional):
Sr 0.235 0.053 0.249 x4
Eu 0.500 0.000 0.000 x2
W 0.000 0.000 0.500 x2
O 0.116 0.229 0.944 x4
O 0.221 0.679 0.950 x4
O 0.321 0.034 0.722 x4

Properties
energy relative to the elements: -2.994 eV per atom
total energy: -155.33 eV per cell
total magnetization: 7.0 μB per formula unit
corrected total energy (MP2020 scheme): -172.45 eV per cell

***

No. 5
Ba2YMgNi3O8: optimized geometry, PBE with a Hubbard U.

a = 3.986 Å, b = 3.986 Å, c = 13.140 Å
α = 90.00°, β = 90.00°, γ = 90.00°
Space group P4/mmm (No. 123)
Symmetry-distinct sites (fractional):
Ba 0.000 0.000 0.144 x2
Y 0.000 0.000 0.500 x1
Mg 0.500 0.500 0.500 x1
Ni 0.500 0.500 0.000 x1
Ni 0.500 0.500 0.310 x2
O 0.000 0.500 0.000 x2
O 0.000 0.500 0.402 x4
O 0.500 0.500 0.173 x2

Properties
energy relative to the elements: -1.784 eV per atom
total energy: -82.47 eV per cell
total magnetization: 5.9 μB per formula unit
corrected total energy (MP2020 scheme): -95.59 eV per cell

***

No. 6
V5O12: optimized geometry, PBE with a Hubbard U.

a = 8.984 Å, b = 9.116 Å, c = 15.501 Å
α = 90.00°, β = 124.81°, γ = 90.00°
Space group P2_1/c (No. 14)
Symmetry-distinct sites (fractional):
V 0.027 0.111 0.139 x4
V 0.131 0.530 0.878 x4
V 0.250 0.618 0.141 x4
V 0.377 0.519 0.624 x4
V 0.464 0.246 0.990 x4
O 0.016 0.209 0.667 x4
O 0.089 0.502 0.749 x4
O 0.089 0.581 0.164 x4
O 0.177 0.556 0.019 x4
O 0.179 0.562 0.465 x4
O 0.199 0.092 0.115 x4
O 0.270 0.151 0.430 x4
O 0.288 0.693 0.651 x4
O 0.350 0.643 0.934 x4
O 0.454 0.517 0.240 x4
O 0.455 0.120 0.076 x4
O 0.476 0.160 0.894 x4

Properties
energy relative to the elements: -2.320 eV per atom
total energy: -509.98 eV per cell
total magnetization: 1.0 μB per formula unit
corrected total energy (MP2020 scheme): -576.95 eV per cell

***

No. 7
LiV3O8: optimized geometry, PBE with a Hubbard U.

a = 12.489 Å, b = 3.504 Å, c = 7.203 Å
α = 90.00°, β = 109.79°, γ = 90.00°
Space group Cm (No. 8)
Symmetry-distinct sites (fractional):
Li 0.000 0.000 0.000 x2
V 0.082 0.000 0.530 x2
V 0.283 0.000 0.043 x2
V 0.382 0.000 0.609 x2
O 0.047 0.000 0.291 x2
O 0.059 0.500 0.591 x2
O 0.141 0.000 0.936 x2
O 0.237 0.000 0.604 x2
O 0.314 0.000 0.291 x2
O 0.324 0.500 0.995 x2
O 0.419 0.500 0.564 x2
O 0.441 0.000 0.855 x2

Properties
energy relative to the elements: -2.274 eV per atom
total energy: -170.86 eV per cell
total magnetization: 0.0 μB per formula unit
corrected total energy (MP2020 scheme): -192.06 eV per cell

***

No. 8
MgVO3: optimized geometry, PBE with a Hubbard U.

a = 5.336 Å, b = 10.267 Å, c = 5.311 Å
α = 90.00°, β = 90.00°, γ = 90.00°
Space group Cmc2_1 (No. 36)
Symmetry-distinct sites (fractional):
Mg 0.000 0.075 0.000 x4
V 0.000 0.430 0.996 x4
O 0.000 0.266 0.987 x4
O 0.239 0.498 0.247 x8

Properties
energy relative to the elements: -2.590 eV per atom
total energy: -138.87 eV per cell
total magnetization: 0.0 μB per formula unit
corrected total energy (MP2020 scheme): -153.92 eV per cell

***

No. 9
VF5: optimized geometry, PBE with a Hubbard U.

a = 5.607 Å, b = 8.266 Å, c = 8.216 Å
α = 90.00°, β = 90.00°, γ = 90.00°
Space group Pnma (No. 62)
Symmetry-distinct sites (fractional):
V 0.233 0.250 0.085 x4
F 0.003 0.250 0.520 x4
F 0.066 0.250 0.907 x4
F 0.070 0.750 0.792 x4
F 0.226 0.039 0.125 x8

Properties
energy relative to the elements: -2.794 eV per atom
total energy: -125.65 eV per cell
corrected total energy (MP2020 scheme): -141.69 eV per cell

***

No. 10
MnAu2C4N4O2: optimized geometry, PBE with a Hubbard U.

a = 7.112 Å, b = 20.622 Å, c = 3.086 Å
α = 90.00°, β = 115.43°, γ = 90.00°
Space group C2/m (No. 12)
Symmetry-distinct sites (fractional):
Mn 0.000 0.000 0.000 x2
Au 0.000 0.250 0.000 x4
C 0.000 0.152 0.000 x4
C 0.000 0.346 0.000 x4
N 0.000 0.096 0.000 x4
N 0.000 0.403 0.000 x4
O 0.175 0.000 0.672 x4

Properties
energy relative to the elements: 0.369 eV per atom
total energy: -176.06 eV per cell
total magnetization: 3.3 μB per formula unit
corrected total energy (MP2020 scheme): -182.14 eV per cell

***

No. 11
Li9Mn2Co5O16: optimized geometry, PBE with a Hubbard U.

a = 5.890 Å, b = 6.653 Å, c = 7.693 Å
α = 90.28°, β = 100.39°, γ = 103.44°
Space group P-1 (No. 2)
Symmetry-distinct sites (fractional):
Li 0.000 0.000 0.000 x1
Li 0.000 0.500 0.500 x1
Li 0.130 0.133 0.379 x2
Li 0.250 0.259 0.741 x2
Li 0.379 0.376 0.127 x2
Li 0.500 0.500 0.500 x1
Mn 0.122 0.623 0.872 x2
Co 0.251 0.745 0.259 x2
Co 0.367 0.869 0.622 x2
Co 0.500 0.000 0.000 x1
O 0.056 0.333 0.938 x2
O 0.090 0.820 0.434 x2
O 0.169 0.440 0.298 x2
O 0.183 0.914 0.819 x2
O 0.302 0.573 0.701 x2
O 0.337 0.057 0.186 x2
O 0.412 0.693 0.059 x2
O 0.443 0.182 0.565 x2

Properties
energy relative to the elements: -1.836 eV per atom
total energy: -186.45 eV per cell
total magnetization: 6.0 μB per formula unit
corrected total energy (MP2020 scheme): -208.97 eV per cell

***

No. 12
BaMnO3: optimized geometry, PBE with a Hubbard U.

a = 4.033 Å, b = 4.033 Å, c = 4.033 Å
α = 90.00°, β = 90.00°, γ = 90.00°
Space group Pm-3m (No. 221)
Symmetry-distinct sites (fractional):
Ba 0.000 0.000 0.000 x1
Mn 0.500 0.500 0.500 x1
O 0.000 0.500 0.500 x3

Properties
energy relative to the elements: -2.356 eV per atom
total energy: -33.98 eV per cell
total magnetization: 3.0 μB per formula unit
corrected total energy (MP2020 scheme): -37.71 eV per cell

***

No. 13
Mn2Fe3SnP6O24: optimized geometry, PBE with a Hubbard U.

a = 8.6950 Å, b = 8.6950 Å, c = 21.2254 Å
α = 90.00°, β = 90.00°, γ = 120.00°
Space group R3 (No. 146, hexagonal axes)
Symmetry-distinct sites (fractional):
Mn 0.0000 0.0000 0.0000 x3
Mn 0.0000 0.0000 0.4958 x3
Fe 0.0000 0.0000 0.1459 x3
Fe 0.0000 0.0000 0.3532 x3
Fe 0.0000 0.0000 0.8539 x3
Sn 0.0000 0.0000 0.6439 x3
P 0.0011 0.2981 0.7503 x9
P 0.0423 0.6704 0.9164 x9
O 0.0011 0.2050 0.6883 x9
O 0.0030 0.1965 0.8086 x9
O 0.0028 0.8045 0.3098 x9
O 0.0156 0.1822 0.4218 x9
O 0.0178 0.8358 0.9226 x9
O 0.1397 0.6728 0.8563 x9
O 0.1663 0.6842 0.2427 x9
O 0.1684 0.4867 0.7443 x9

Properties
energy relative to the elements: -2.386 eV per atom
total energy: -774.83 eV per cell
total magnetization: 24.2 μB per formula unit
corrected total energy (MP2020 scheme): -854.60 eV per cell